Record 1
## TiAsH18C6N3Cl4 (PBE-GGA)

Data for crystalline TiAsH18C6N3Cl4 at its relaxed geometry.

abc: 16.4306 10.2796 14.3914
angles: 45.94 90.00 90.00
Closest atoms and distances in Å follow each position.
Sites, in units of the cell vectors:
C  0.1155  0.2136  0.4235  3 H 1.09-1.11
C  0.2566  0.2602  0.4383  3 H 1.09-1.11
C  0.4872  0.0350  0.7521  3 H 1.09-1.10
C  0.5128  0.9650  0.2479  3 H 1.09-1.10
C  0.2434  0.2602  0.9383  3 H 1.09-1.11
C  0.2592  0.6769  0.5142  3 H 1.09-1.10
C  0.8845  0.7864  0.5765  3 H 1.09-1.11
C  0.3845  0.2136  0.9235  3 H 1.09-1.11
C  0.5592  0.7718  0.8326  3 H 1.09-1.10
C  0.1190  0.5670  0.9967  3 H 1.09-1.10
C  0.7408  0.3231  0.4858  3 H 1.09-1.10
C  0.3810  0.5670  0.4967  3 H 1.09-1.10
C  0.7566  0.7398  0.0617  3 H 1.09-1.11
C  0.9408  0.7718  0.3326  3 H 1.09-1.10
C  0.7434  0.7398  0.5617  3 H 1.09-1.11
C  0.4408  0.2282  0.1674  3 H 1.09-1.10
C  0.7592  0.3231  0.9858  3 H 1.09-1.10
C  0.9872  0.9650  0.7479  3 H 1.09-1.10
C  0.8810  0.4330  0.0033  3 H 1.09-1.10
C  0.2408  0.6769  0.0142  3 H 1.09-1.10
C  0.0128  0.0350  0.2521  3 H 1.09-1.10
C  0.0592  0.2282  0.6674  3 H 1.09-1.10
C  0.6155  0.7864  0.0765  3 H 1.09-1.11
C  0.6190  0.4330  0.5033  3 H 1.09-1.10
H  0.2301  0.2662  0.8600  1 C 1.11
H  0.2261  0.5989  0.1159  1 C 1.10
H  0.6166  0.7168  0.8337  1 C 1.09
H  0.9395  0.0020  0.7797  1 C 1.10
H  0.3716  0.2005  0.8549  1 C 1.11
H  0.5103  0.7476  0.7936  1 C 1.10
H  0.3967  0.4906  0.5979  1 C 1.10
H  0.3100  0.2037  0.5012  1 C 1.09
H  0.2739  0.5989  0.6159  1 C 1.10
H  0.0605  0.9980  0.2203  1 C 1.10
H  0.1038  0.3583  0.3665  1 C 1.11
H  0.7222  0.4082  0.9899  1 C 1.10
H  0.9367  0.4013  0.0568  1 C 1.09
H  0.9394  0.8641  0.5227  1 C 1.09
H  0.1033  0.4906  0.0979  1 C 1.10
H  0.0277  0.9700  0.3511  1 C 1.10
H  0.9723  0.0300  0.6489  1 C 1.10
H  0.5606  0.8641  0.0227  1 C 1.09
H  0.7535  0.6000  0.6063  1 C 1.11
H  0.4723  0.9700  0.8511  1 C 1.10
H  0.3834  0.2832  0.1663  1 C 1.09
H  0.5128  0.8189  0.3104  1 C 1.09
H  0.2763  0.7963  0.9746  1 C 1.09
H  0.5633  0.4013  0.5568  1 C 1.09
H  0.3962  0.3583  0.8665  1 C 1.11
H  0.0606  0.1359  0.4773  1 C 1.09
H  0.1570  0.4797  0.9959  1 C 1.10
H  0.2699  0.2662  0.3600  1 C 1.11
H  0.5429  0.7018  0.9322  1 C 1.10
H  0.7465  0.6000  0.1063  1 C 1.11
H  0.7261  0.4011  0.3841  1 C 1.10
H  0.6900  0.7963  0.4988  1 C 1.09
H  0.7699  0.7338  0.1400  1 C 1.11
H  0.9872  0.8189  0.8104  1 C 1.09
H  0.4571  0.2982  0.0678  1 C 1.10
H  0.0128  0.1811  0.1896  1 C 1.09
H  0.8716  0.7995  0.6451  1 C 1.11
H  0.9897  0.7476  0.2936  1 C 1.10
H  0.2465  0.4000  0.3937  1 C 1.11
H  0.1900  0.2037  0.0012  1 C 1.09
H  0.5277  0.0300  0.1489  1 C 1.10
H  0.7237  0.2037  0.0254  1 C 1.09
H  0.2222  0.5918  0.5101  1 C 1.10
H  0.2778  0.5918  0.0101  1 C 1.10
H  0.7763  0.2037  0.5254  1 C 1.09
H  0.4367  0.5987  0.4432  1 C 1.09
H  0.1284  0.2005  0.3549  1 C 1.11
H  0.7778  0.4082  0.4899  1 C 1.10
H  0.0103  0.2524  0.7064  1 C 1.10
H  0.5605  0.0020  0.2797  1 C 1.10
H  0.4394  0.1359  0.9773  1 C 1.09
H  0.8834  0.7168  0.3337  1 C 1.09
H  0.7739  0.4011  0.8841  1 C 1.10
H  0.6284  0.7995  0.1451  1 C 1.11
H  0.8100  0.7963  0.9988  1 C 1.09
H  0.0633  0.5987  0.9432  1 C 1.09
H  0.3430  0.4797  0.4959  1 C 1.10
H  0.4395  0.9980  0.7203  1 C 1.10
H  0.8430  0.5203  0.0041  1 C 1.10
H  0.2535  0.4000  0.8937  1 C 1.11
H  0.2237  0.7963  0.4746  1 C 1.09
H  0.6570  0.5203  0.5041  1 C 1.10
H  0.7301  0.7338  0.6400  1 C 1.11
H  0.0429  0.2982  0.5678  1 C 1.10
H  0.1166  0.2832  0.6663  1 C 1.09
H  0.8962  0.6417  0.6335  1 C 1.11
H  0.4897  0.2524  0.2064  1 C 1.10
H  0.4872  0.1811  0.6896  1 C 1.09
H  0.9571  0.7018  0.4322  1 C 1.10
H  0.6038  0.6417  0.1335  1 C 1.11
H  0.6033  0.5094  0.4021  1 C 1.10
H  0.8967  0.5094  0.9021  1 C 1.10
Cl  0.7471  0.8876  0.2681  1 Ti 2.39, 2 H 2.59-2.67
Cl  0.6972  0.1962  0.2778  1 Ti 2.30
Cl  0.3986  0.7702  0.1928  1 Ti 2.29
Cl  0.4948  0.7712  0.5391  1 As 2.24
Cl  0.1972  0.8038  0.2222  1 Ti 2.30
Cl  0.9948  0.2288  0.9609  1 As 2.24
Cl  0.0052  0.7712  0.0391  1 As 2.24
Cl  0.7529  0.8876  0.7681  1 Ti 2.39, 2 H 2.59-2.67
Cl  0.3028  0.8038  0.7222  1 Ti 2.30
Cl  0.8028  0.1962  0.7778  1 Ti 2.30
Cl  0.6014  0.2298  0.8072  1 Ti 2.29
Cl  0.1014  0.7702  0.6928  1 Ti 2.29
Cl  0.5052  0.2288  0.4609  1 As 2.24
Cl  0.8986  0.2298  0.3072  1 Ti 2.29
Cl  0.2471  0.1124  0.2319  1 Ti 2.39, 2 H 2.59-2.67
Cl  0.2529  0.1124  0.7319  1 Ti 2.39, 2 H 2.59-2.67
As  0.6147  0.0783  0.5872  2 N 1.93-1.97
As  0.8853  0.0783  0.0872  2 N 1.93-1.97
As  0.1147  0.9217  0.9128  2 N 1.93-1.97
As  0.3853  0.9217  0.4128  2 N 1.93-1.97
N  0.8338  0.2684  0.0640  2 C 1.47-1.48
N  0.0682  0.0316  0.7451  2 C 1.48-1.49
N  0.6844  0.8501  0.9908  2 C 1.45-1.46
N  0.3156  0.1499  0.0092  2 C 1.45-1.46
N  0.6662  0.2684  0.5640  2 C 1.47-1.48
N  0.9318  0.9684  0.2549  2 C 1.48-1.49
N  0.5682  0.9684  0.7549  2 C 1.48-1.49
N  0.1662  0.7316  0.9360  2 C 1.47-1.48
N  0.4318  0.0316  0.2451  2 C 1.48-1.49
N  0.8156  0.8501  0.4908  2 C 1.45-1.46
N  0.1844  0.1499  0.5092  2 C 1.45-1.46
N  0.3338  0.7316  0.4360  2 C 1.47-1.48
Ti  0.6848  0.0489  0.8093  1 N 1.89
Ti  0.3152  0.9511  0.1907  1 N 1.89
Ti  0.1848  0.9511  0.6907  1 N 1.89
Ti  0.8152  0.0489  0.3093  1 N 1.89

Values from the calculation:
- space-group type = No. 14
- formation energy (eV per formula unit) = -13.64
- VASP energy (Ry/atom) = -0.3844

Record 2
## TeAs2C48Cl4 (PBE-GGA)

Data for crystalline TeAs2C48Cl4 at its relaxed geometry.

abc: 16.1475 10.7309 16.5149
angles: 54.38 90.00 90.00
Closest atoms and distances in Å follow each position.
Sites, in units of the cell vectors:
C  0.4071  0.6906  0.0795  2 C 1.34-1.40
C  0.2703  0.5615  0.4668  2 C 1.33
C  0.3269  0.6718  0.1044  2 C 1.33-1.34
C  0.7703  0.4385  0.0332  2 C 1.33
C  0.5540  0.8042  0.8680  2 C 1.34-1.39
C  0.3475  0.2040  0.7253  2 C 1.33
C  0.4207  0.1691  0.0628  2 C 1.39
C  0.8854  0.5439  0.2221  2 C 1.33-1.34
C  0.5201  0.3820  0.8687  2 C 1.39-1.40
C  0.1502  0.4868  0.4056  2 C 1.39
C  0.7397  0.3103  0.1139  2 C 1.33-1.34
C  0.0793  0.1691  0.5628  2 C 1.39
C  0.6451  0.3565  0.1680  2 C 1.33-1.39
C  0.5610  0.0245  0.7570  2 C 1.34
C  0.8549  0.3565  0.6680  2 C 1.33-1.39
C  0.1861  0.7671  0.3106  2 C 1.33-1.34
C  0.1451  0.6435  0.3320  2 C 1.33-1.39
C  0.6502  0.5132  0.0944  2 C 1.39
C  0.3549  0.6435  0.8320  2 C 1.33-1.39
C  0.5859  0.1087  0.7884  2 C 1.34
C  0.9799  0.3820  0.3687  2 C 1.39-1.40
C  0.9082  0.9880  0.3841  2 C 1.34-1.39
C  0.1525  0.2040  0.2253  2 C 1.33
C  0.3854  0.4561  0.2779  2 C 1.33-1.34
C  0.7214  0.8546  0.2204  2 C 1.33-1.34
C  0.3558  0.2390  0.8630  2 C 1.39
C  0.9460  0.8042  0.3680  2 C 1.34-1.39
C  0.2397  0.6897  0.3861  2 C 1.33-1.34
C  0.8139  0.2329  0.6894  2 C 1.33-1.34
C  0.7603  0.3103  0.6139  2 C 1.33-1.34
C  0.5429  0.4947  0.7713  2 C 1.33-1.39
C  0.1731  0.6718  0.6044  2 C 1.33-1.34
C  0.1195  0.2475  0.2791  2 C 1.33-1.39
C  0.8475  0.7960  0.7747  2 C 1.33
C  0.4460  0.1958  0.1320  2 C 1.34-1.39
C  0.0201  0.6180  0.6313  2 C 1.39-1.40
C  0.7716  0.8893  0.1457  2 C 1.33-1.34
C  0.8558  0.7610  0.6370  2 C 1.39
C  0.5793  0.8309  0.9372  2 C 1.39
C  0.6617  0.4435  0.8003  2 C 1.33-1.34
C  0.2831  0.4686  0.9651  2 C 1.33-1.39
C  0.3498  0.4868  0.9056  2 C 1.39
C  0.2284  0.1107  0.8543  2 C 1.33-1.34
C  0.2786  0.1454  0.7796  2 C 1.33-1.34
C  0.7214  0.8320  0.1110  2 C 1.33-1.39
C  0.5415  0.8932  0.7692  2 C 1.34
C  0.4571  0.5053  0.2287  2 C 1.33-1.39
C  0.6525  0.7960  0.2747  2 C 1.33
C  0.0429  0.5053  0.7287  2 C 1.33-1.39
C  0.2786  0.1679  0.8890  2 C 1.33-1.39
C  0.2214  0.1679  0.3890  2 C 1.33-1.39
C  0.9585  0.8932  0.2692  2 C 1.34
C  0.3383  0.5565  0.1997  2 C 1.33-1.34
C  0.7297  0.4385  0.5332  2 C 1.33
C  0.0859  0.8913  0.7116  2 C 1.34
C  0.9571  0.4947  0.2713  2 C 1.33-1.39
C  0.0610  0.9755  0.7430  2 C 1.34
C  0.5918  0.9880  0.8841  2 C 1.34-1.39
C  0.6146  0.5439  0.7221  2 C 1.33-1.34
C  0.0415  0.1068  0.7308  2 C 1.34
C  0.9390  0.0245  0.2570  2 C 1.34
C  0.4585  0.1068  0.2308  2 C 1.34
C  0.3805  0.2475  0.7791  2 C 1.33-1.39
C  0.0929  0.6906  0.5795  2 C 1.34-1.40
C  0.9071  0.3094  0.4205  2 C 1.34-1.40
C  0.1617  0.5565  0.6997  2 C 1.33-1.34
C  0.2603  0.6897  0.8861  2 C 1.33-1.34
C  0.1146  0.4561  0.7779  2 C 1.33-1.34
C  0.2214  0.1454  0.2796  2 C 1.33-1.34
C  0.9207  0.8309  0.4372  2 C 1.39
C  0.6442  0.7610  0.1370  2 C 1.39
C  0.7169  0.5314  0.0349  2 C 1.33-1.39
C  0.4799  0.6180  0.1313  2 C 1.39-1.40
C  0.2169  0.4686  0.4651  2 C 1.33-1.39
C  0.1442  0.2390  0.3630  2 C 1.39
C  0.4390  0.9755  0.2430  2 C 1.34
C  0.7831  0.5314  0.5349  2 C 1.33-1.39
C  0.7786  0.8546  0.7204  2 C 1.33-1.34
C  0.8383  0.4435  0.3003  2 C 1.33-1.34
C  0.5929  0.3094  0.9205  2 C 1.34-1.40
C  0.4141  0.8913  0.2116  2 C 1.34
C  0.2716  0.1107  0.3543  2 C 1.33-1.34
C  0.6195  0.7525  0.2209  2 C 1.33-1.39
C  0.7786  0.8320  0.6110  2 C 1.33-1.39
C  0.4082  0.0120  0.1159  2 C 1.34-1.39
C  0.6861  0.2329  0.1894  2 C 1.33-1.34
C  0.3139  0.7671  0.8106  2 C 1.33-1.34
C  0.8269  0.3282  0.3956  2 C 1.33-1.34
C  0.8805  0.7525  0.7209  2 C 1.33-1.39
C  0.2297  0.5615  0.9668  2 C 1.33
C  0.8498  0.5132  0.5944  2 C 1.39
C  0.6731  0.3282  0.8956  2 C 1.33-1.34
C  0.0540  0.1958  0.6320  2 C 1.34-1.39
C  0.0918  0.0120  0.6159  2 C 1.34-1.39
C  0.7284  0.8893  0.6457  2 C 1.33-1.34
C  0.9141  0.1087  0.2884  2 C 1.34
As  0.5882  0.6792  0.0763  4 C 1.90-1.91
As  0.0882  0.3208  0.4237  4 C 1.90-1.91
As  0.4118  0.3208  0.9237  4 C 1.90-1.91
As  0.9118  0.6792  0.5763  4 C 1.90-1.91
Cl  0.6052  0.8849  0.4496  1 Te 2.51
Cl  0.1052  0.1151  0.0504  1 Te 2.51
Cl  0.3948  0.1151  0.5504  1 Te 2.51
Cl  0.8948  0.8849  0.9496  1 Te 2.51
Cl  0.4035  0.7825  0.5506  1 Te 2.51
Cl  0.0965  0.7825  0.0506  1 Te 2.51
Cl  0.9035  0.2175  0.9494  1 Te 2.51
Cl  0.5965  0.2175  0.4494  1 Te 2.51
Te  0.0000  0.0000  0.0000  4 Cl 2.51
Te  0.5000  0.0000  0.5000  4 Cl 2.51

Values from the calculation:
- space-group type = No. 14
- formation energy (eV per formula unit) = 82.51
- VASP energy (Ry/atom) = -0.5050

Record 3
## Cr12As5C (PBE-GGA)

Data for crystalline Cr12As5C at its relaxed geometry.

abc: 3.2187 6.4544 11.1814
angles: 90.00 90.00 90.00
Closest atoms and distances in Å follow each position.
Sites, in units of the cell vectors:
As  0.0000  0.9985  0.3400  9 Cr 2.42-2.62
As  0.0000  0.9985  0.6600  9 Cr 2.42-2.62
As  0.0000  0.5018  0.8268  9 Cr 2.41-2.60
As  0.0000  0.5018  0.1732  9 Cr 2.41-2.60
As  0.5000  0.9973  0.0000  7 Cr 2.36-2.57
Cr  0.5000  0.6788  0.3216  1 C 2.29
Cr  0.0000  0.7276  0.5000  2 C 2.16
Cr  0.0000  0.8692  0.8634  4 As 2.37-2.42
Cr  0.0000  0.2647  0.0000  4 As 2.36-2.47
Cr  0.0000  0.3864  0.6106  2 C 2.17
Cr  0.5000  0.2041  0.2057  5 As 2.53-2.66, 4 Cr 2.80-2.83
Cr  0.5000  0.6788  0.6784  1 C 2.29
Cr  0.5000  0.2041  0.7943  5 As 2.53-2.66, 4 Cr 2.80-2.83
Cr  0.0000  0.3864  0.3894  2 C 2.17
Cr  0.5000  0.1298  0.5000  1 C 2.41, 4 As 2.55, 4 Cr 2.62
Cr  0.5000  0.5995  0.0000  5 As 2.57-2.60, 6 Cr 2.69-2.82
Cr  0.0000  0.8692  0.1366  4 As 2.37-2.42
C  0.5000  0.5033  0.5000  9 Cr 2.16-2.41

Values from the calculation:
- space-group type = No. 25
- formation energy (eV per formula unit) = 0.11
- VASP energy (Ry/atom) = -0.6053